# NaMn8O16

A geometry-optimized NaMn8O16 structure (PBE with a Hubbard U, the Materials Project).

The space group is Pmmn (No. 59, origin choice 2) and the conventional cell measures 5.924, 11.858 and 8.380 Å, with angles of 90.00, 90.00 and 90.00 degrees. The asymmetric unit holds Na at (0.250, 0.250, 0.126), Mn at (0.000, 0.000, 0.000), Mn at (0.003, 0.750, 0.495), Mn at (0.250, 0.124, 0.745), Mn at (0.250, 0.623, 0.745), O at (0.031, 0.501, 0.764), O at (0.034, 0.250, 0.735), O at (0.038, 0.750, 0.726), O at (0.250, 0.106, 0.978), O at (0.250, 0.142, 0.515), O at (0.250, 0.610, 0.980) and O at (0.250, 0.641, 0.511).

For the calculated formation energy, the calculation gives -1802 meV/atom. Its energy above the most stable polymorph in this dataset is 76 meV/atom. The calculation puts the calculated volume at 11.77 A^3/atom.